This record from Materials Project describes a relaxed Mn6O5F7 crystal. The functional is PBE with a Hubbard U.

Summary:
- Energy relative to the elements: -2394 meV/atom
- Total magnetization: 25.00 μB per formula unit
- Space group: P1 (1)

a b c (Å): 4.677 5.747 15.673
angles (deg): 90.03 90.62 91.65
Atoms (fractional coordinates):
Mn1 0.000 0.000 0.000
Mn2 0.001 0.984 0.332
Mn3 0.004 0.988 0.666
Mn4 0.014 0.678 0.162
Mn5 0.465 0.506 0.654
Mn6 0.470 0.204 0.158
Mn7 0.476 0.204 0.821
Mn8 0.477 0.198 0.491
Mn9 0.484 0.518 0.315
Mn10 0.491 0.493 0.990
Mn11 0.984 0.695 0.502
Mn12 0.995 0.669 0.824
O1 0.193 0.738 0.609
O2 0.200 0.728 0.271
O3 0.205 0.954 0.773
O4 0.207 0.958 0.445
O5 0.216 0.958 0.109
O6 0.263 0.444 0.760
O7 0.269 0.451 0.095
O8 0.685 0.472 0.549
O9 0.702 0.457 0.881
O10 0.705 0.463 0.212
F1 0.215 0.729 0.938
F2 0.232 0.237 0.597
F3 0.234 0.232 0.270
F4 0.239 0.236 0.933
F5 0.248 0.460 0.426
F6 0.709 0.230 0.379
F7 0.717 0.227 0.045
F8 0.728 0.725 0.719
F9 0.732 0.224 0.708
F10 0.732 0.973 0.221
F11 0.738 0.966 0.886
F12 0.742 0.977 0.562
F13 0.747 0.725 0.394
F14 0.763 0.718 0.054